(1)
Tm10In20Rh9 | the Materials Project database | PBE | relaxed; spin magnetization = 0.000 μB per atom; space group = No. 129; theoretical density = 9.6 Mg/m³; final energy = -4.847 eV/atom; formation energy = -0.589 eV per atom
1.0
-9.376 -9.535 -1.775
6.675 -8.136 8.440
-4.884 3.462 7.200
In Rh Tm
40 18 20
direct
0.150 0.150 0.000 In
0.850 0.850 0.000 In
0.631 0.631 0.500 In
0.668 0.000 0.100 In
0.131 0.131 0.500 In
0.000 0.332 0.900 In
0.500 0.168 0.100 In
0.870 0.370 0.407 In
0.369 0.631 0.500 In
0.350 0.350 0.000 In
0.130 0.630 0.407 In
0.370 0.130 0.593 In
0.150 0.850 0.000 In
0.130 0.370 0.407 In
0.613 0.500 0.759 In
0.500 0.832 0.100 In
0.630 0.870 0.593 In
0.887 0.000 0.241 In
0.630 0.130 0.593 In
0.869 0.869 0.500 In
0.832 0.500 0.900 In
0.000 0.668 0.900 In
0.131 0.869 0.500 In
0.850 0.150 0.000 In
0.168 0.500 0.900 In
0.369 0.369 0.500 In
0.500 0.387 0.241 In
0.000 0.887 0.759 In
0.000 0.113 0.759 In
0.631 0.369 0.500 In
0.370 0.870 0.593 In
0.500 0.613 0.241 In
0.650 0.650 0.000 In
0.869 0.131 0.500 In
0.350 0.650 0.000 In
0.332 0.000 0.100 In
0.387 0.500 0.759 In
0.113 0.000 0.241 In
0.870 0.630 0.407 In
0.650 0.350 0.000 In
0.221 0.500 0.597 Rh
0.500 0.500 0.000 Rh
0.343 0.157 0.896 Rh
0.721 0.000 0.403 Rh
0.000 0.279 0.597 Rh
0.343 0.843 0.896 Rh
0.000 0.000 0.000 Rh
0.157 0.343 0.104 Rh
0.279 0.000 0.403 Rh
0.000 0.721 0.597 Rh
0.657 0.843 0.896 Rh
0.843 0.343 0.104 Rh
0.500 0.779 0.403 Rh
0.157 0.657 0.104 Rh
0.657 0.157 0.896 Rh
0.500 0.221 0.403 Rh
0.779 0.500 0.597 Rh
0.843 0.657 0.104 Rh
0.225 0.000 0.768 Tm
0.000 0.775 0.232 Tm
0.000 0.500 0.635 Tm
0.704 0.796 0.270 Tm
0.204 0.296 0.730 Tm
0.000 0.500 0.157 Tm
0.000 0.225 0.232 Tm
0.296 0.796 0.270 Tm
0.275 0.500 0.232 Tm
0.500 0.000 0.843 Tm
0.704 0.204 0.270 Tm
0.500 0.000 0.365 Tm
0.796 0.704 0.730 Tm
0.204 0.704 0.730 Tm
0.796 0.296 0.730 Tm
0.775 0.000 0.768 Tm
0.725 0.500 0.232 Tm
0.296 0.204 0.270 Tm
0.500 0.275 0.768 Tm
0.500 0.725 0.768 Tm


(2)
RbTmI3 | the Materials Project database | PBE | relaxed; spin magnetization = 0.024 μB per atom; space group = No. 62; theoretical density = 5.0 Mg/m³; final energy = -3.163 eV/atom; formation energy = -1.385 eV per atom
1.0
-1.672 -7.871 1.790
-0.649 -1.780 -8.432
11.654 -2.557 -0.357
I Tm Rb
12 4 4
direct
0.915 0.010 0.250 I
0.205 0.709 0.461 I
0.705 0.791 0.961 I
0.585 0.510 0.250 I
0.415 0.490 0.750 I
0.705 0.791 0.539 I
0.295 0.209 0.461 I
0.795 0.291 0.961 I
0.205 0.709 0.039 I
0.295 0.209 0.039 I
0.085 0.990 0.750 I
0.795 0.291 0.539 I
0.000 0.000 0.500 Tm
0.500 0.500 0.000 Tm
0.000 0.000 0.000 Tm
0.500 0.500 0.500 Tm
0.972 0.572 0.750 Rb
0.472 0.928 0.250 Rb
0.028 0.428 0.250 Rb
0.528 0.072 0.750 Rb